VASP calculation (meta-GGA r2SCAN) on CeZnAu after structural relaxation.

Properties
DFT total energy ... -30.80 eV/atom
V ... 264 Å³ per cell
Crystal system ... orthorhombic
SG ... No. 62

Cell: 4.6271 7.1544 7.9891 Å, 90.00 90.00 90.00°
Fractional positions:
Au 0.2500 0.7752 0.9136
Au 0.7500 0.7248 0.4137
Au 0.2500 0.2752 0.5864
Au 0.7500 0.2248 0.0864
Zn 0.7500 0.7945 0.0820
Zn 0.2500 0.2055 0.9180
Zn 0.2500 0.7055 0.5820
Zn 0.7500 0.2945 0.4180
Ce 0.7500 0.9941 0.7236
Ce 0.2500 0.5059 0.2236
Ce 0.2500 0.0059 0.2764
Ce 0.7500 0.4941 0.7764